1.
8
Lattice="-2.517 -3.144 0.353 0.066 -0.503 -4.011 6.487 -5.110 0.749" Properties=species:S:1:pos:R:3 comment="PBE SrHfN2, optimized geometry" delta_e_f_ev_per_atom=-1.590 space_group=P4/nmm dft_energy_ev_per_cell=-67.9 pbc="T T T"
Hf 3.877 -3.280 -1.562
Hf 1.384 -3.654 0.482
N 2.018 -4.379 -1.455
N 3.243 -2.555 0.374
N -0.186 -2.417 0.300
N 5.448 -4.517 -1.381
Sr 4.309 -5.958 0.819
Sr 0.952 -0.976 -1.900

---

2.
18
Lattice="-4.004 4.004 6.045 4.004 -4.004 6.045 4.004 4.004 -6.045" Properties=species:S:1:pos:R:3 comment="PBE Rb3MnH5, optimized geometry" delta_e_f_ev_per_atom=-0.165 space_group=I4/mcm dft_energy_ev_per_cell=-59.3 pbc="T T T"
H 3.007 0.997 1.972
H 5.000 -0.997 1.972
H -0.997 5.000 4.074
H 0.997 5.000 1.972
H 0.997 3.007 4.074
H -0.997 3.007 1.972
H 3.007 -0.997 4.074
H 0.000 0.000 6.045
H 5.000 0.997 4.074
H 0.000 0.000 0.000
Mn 0.000 4.004 3.023
Mn 4.004 0.000 3.023
Rb 5.497 1.493 0.000
Rb -1.493 2.510 6.045
Rb 1.493 2.510 0.000
Rb 0.000 0.000 3.023
Rb 2.510 1.493 6.045
Rb 0.000 0.000 9.068

---

3.
8
Lattice="7.505 -2.247 0.000 7.505 2.247 0.000 6.833 0.000 3.834" Properties=species:S:1:pos:R:3 comment="PBE Mn2In2CuPd3, optimized geometry" delta_e_f_ev_per_atom=-0.273 space_group=R3m dft_energy_ev_per_cell=-45.7 pbc="T T T"
Mn 5.477 0.000 0.961
Mn 16.369 0.000 2.873
In 21.823 0.000 3.830
In 10.940 0.000 1.920
Cu 13.655 0.000 2.397
Pd 19.116 0.000 3.355
Pd 2.728 0.000 0.479
Pd 8.189 0.000 1.437